Entry 1:
Below is a relaxed TiCoP2O8 crystal, with properties calculated at the PBE with a Hubbard U level.

Output
- Final energy: -0.2773 Ha/atom
- Energy relative to the elements: -2.69 eV per atom

Geometry as POSCAR:
```
TiCoP2O8
1.0
5.972 0.000 0.000
0.004 9.867 0.000
0.004 4.809 9.975
Ti Co P O
4 4 8 32
Cartesian
0.000 0.000 0.000
0.007 9.739 9.972
2.989 4.593 5.499
2.990 9.526 5.495
0.005 7.031 5.034
2.989 2.493 0.466
2.997 7.441 0.499
5.972 11.958 5.007
0.005 4.411 6.755
5.973 2.824 1.749
0.009 9.365 6.754
0.010 7.755 1.751
2.989 6.700 3.748
2.993 9.922 8.717
2.994 4.968 8.717
2.996 11.635 3.745
0.002 1.328 1.353
0.008 8.926 8.251
0.009 5.914 6.655
0.015 7.908 3.241
0.018 10.872 6.664
1.178 3.574 1.007
1.184 8.515 1.012
1.231 8.676 6.028
1.232 3.726 6.042
1.766 5.651 9.439
1.767 10.589 9.452
1.816 5.948 4.494
1.820 10.866 4.470
2.984 3.257 4.159
2.981 6.512 2.259
2.983 10.346 7.214
2.992 8.196 4.144
2.993 5.405 7.219
2.997 1.617 2.255
3.001 8.419 8.819
3.003 13.330 8.811
4.166 5.948 4.487
4.170 10.874 4.482
4.217 5.658 9.441
4.220 10.610 9.428
4.753 3.740 6.019
4.753 8.686 6.029
4.800 3.577 1.003
4.807 8.524 1.023
5.968 3.986 8.257
5.969 3.014 3.238
5.968 6.265 1.339
```



Entry 2:
Below is a relaxed Ti3V2CoP6O24 crystal, with properties calculated at the PBE with a Hubbard U level.

Output
- Final energy: -0.2851 Ha/atom
- Energy relative to the elements: -2.80 eV per atom

Geometry as POSCAR:
```
Ti3V2CoP6O24
1.0
4.344 2.508 6.952
-4.344 2.508 6.952
0.000 -5.016 6.952
Ti V Co P O
3 2 1 6 24
Cartesian
0.000 0.000 0.000
0.000 0.000 4.424
0.000 0.000 14.794
0.000 0.000 7.421
0.000 0.000 17.851
0.000 0.000 10.376
-3.079 0.298 9.143
-1.273 -2.204 12.580
1.281 -2.816 9.143
-1.272 2.204 12.580
1.798 2.517 9.143
2.545 0.000 12.580
-3.653 1.038 7.908
-0.876 -1.249 5.814
-2.829 -2.413 12.540
-3.494 1.099 10.406
0.927 -3.682 7.908
-1.571 0.159 8.938
-0.644 1.383 5.814
-0.855 -1.531 11.309
0.795 -3.576 10.406
0.647 -1.440 8.938
1.520 -0.134 5.814
-0.851 -1.396 13.851
-0.899 1.506 11.309
-1.511 -0.165 16.232
0.923 1.280 8.938
-0.784 1.435 13.851
1.754 0.026 11.309
-0.675 3.656 12.540
0.898 -1.227 16.232
1.634 -0.039 13.851
2.725 2.644 7.908
3.504 -1.244 12.540
0.613 1.391 16.232
2.699 2.476 10.406
```



| no. | V (Å³/atom) |
| --- | --- |
| 1 | 12.246 |
| 2 | 12.622 |